Entry 1:
DFT (PBE) results for a geometry-optimized PrNdTl2 structure.

The space group is Fm-3m (No. 225) and the conventional cell measures 7.857, 7.857 and 7.857 Å, with angles of 90.00, 90.00 and 90.00 degrees. The distinct sites, in fractional coordinates, are Pr at (0.000, 0.000, 0.000), Nd at (0.000, 0.000, 0.500) and Tl at (0.250, 0.250, 0.250).

As for the energy of formation from the pure elements: -1.6 eV/f.u. As for the electronic total energy: -63.42 eV for the cell shown.

=====

Entry 2:
DFT (PBE) results for a geometry-optimized Nd4Pt structure.

The space group is Fd-3m (No. 227, origin choice 2) and the conventional cell measures 11.309, 11.309 and 11.309 Å, with angles of 90.00, 90.00 and 90.00 degrees. The distinct sites, in fractional coordinates, are Nd at (0.014, 0.014, 0.236) and Pt at (0.125, 0.125, 0.625).

As for the energy of formation from the pure elements: -0.1 eV/f.u. As for the electronic total energy: -202.16 eV for the cell shown.

=====

Entry 3:
DFT (PBE) results for a geometry-optimized NdPt2 structure.

The space group is Fd-3m (No. 227, origin choice 2) and the conventional cell measures 7.813, 7.813 and 7.813 Å, with angles of 90.00, 90.00 and 90.00 degrees. The distinct sites, in fractional coordinates, are Nd at (0.125, 0.125, 0.125) and Pt at (0.000, 0.000, 0.500).

As for the energy of formation from the pure elements: -3.1 eV/f.u. As for the electronic total energy: -160.20 eV for the cell shown.

=====

Entry 4:
DFT (PBE) results for a geometry-optimized NdSbPt structure.

The space group is P6_3mc (No. 186) and the conventional cell measures 4.5889, 4.5889 and 8.0756 Å, with angles of 90.00, 90.00 and 120.00 degrees. The distinct sites, in fractional coordinates, are Nd at (0.0000, 0.0000, 0.0000), Sb at (0.3333, 0.6667, 0.2625) and Pt at (0.3333, 0.6667, 0.7039).

As for the energy of formation from the pure elements: -3.3 eV/f.u. As for the electronic total energy: -36.59 eV for the cell shown.

=====

Entry 5:
DFT (PBE) results for a geometry-optimized Nd2Si3Pt3 structure.

The space group is P4/mmm (No. 123) and the conventional cell measures 2.799, 2.799 and 21.160 Å, with angles of 90.00, 90.00 and 90.00 degrees. The distinct sites, in fractional coordinates, are Nd at (0.000, 0.000, 0.246), Si at (0.000, 0.000, 0.000), Si at (0.000, 0.000, 0.389), Pt at (0.000, 0.000, 0.112) and Pt at (0.000, 0.000, 0.500).

As for the energy of formation from the pure elements: 3.4 eV/f.u. As for the electronic total energy: -40.63 eV for the cell shown.

=====

Entry 6:
DFT (PBE) results for a geometry-optimized NdSiPt structure.

The space group is I4_1md (No. 109) and the conventional cell measures 4.222, 4.222 and 14.495 Å, with angles of 90.00, 90.00 and 90.00 degrees. The distinct sites, in fractional coordinates, are Nd at (0.000, 0.000, 0.000), Si at (0.000, 0.000, 0.420) and Pt at (0.000, 0.000, 0.587).

As for the energy of formation from the pure elements: -3.4 eV/f.u. As for the electronic total energy: -78.59 eV for the cell shown.

=====

Entry 7:
DFT (PBE) results for a geometry-optimized Nd3Si11Pt23 structure.

The space group is Fm-3m (No. 225) and the conventional cell measures 17.052, 17.052 and 17.052 Å, with angles of 90.00, 90.00 and 90.00 degrees. The distinct sites, in fractional coordinates, are Nd at (0.000, 0.250, 0.250), Si at (0.000, 0.000, 0.171), Si at (0.107, 0.107, 0.393), Si at (0.165, 0.165, 0.165), Pt at (0.000, 0.000, 0.375), Pt at (0.083, 0.083, 0.083), Pt at (0.084, 0.084, 0.252) and Pt at (0.192, 0.192, 0.308).

As for the energy of formation from the pure elements: -32.7 eV/f.u. As for the electronic total energy: -1970.80 eV for the cell shown.

=====

Entry 8:
DFT (PBE) results for a geometry-optimized NdPu3 structure.

The space group is I4/mmm (No. 139) and the conventional cell measures 4.865, 4.865 and 9.894 Å, with angles of 90.00, 90.00 and 90.00 degrees. The distinct sites, in fractional coordinates, are Nd at (0.000, 0.000, 0.000), Pu at (0.000, 0.000, 0.500) and Pu at (0.000, 0.500, 0.250).

The calculation puts the distance to the lowest polymorph of the same formula at 0 kJ/mol of formula units. As for the energy of formation from the pure elements: 0.9 eV/f.u. As for the electronic total energy: -93.26 eV for the cell shown.

=====

Entry 9:
DFT (PBE) results for a geometry-optimized NdPu3 structure.

The space group is Pm (No. 6) and the conventional cell measures 6.826, 5.393 and 6.913 Å, with angles of 90.00, 119.55 and 90.00 degrees. The distinct sites, in fractional coordinates, are Nd at (0.000, 0.000, 0.000), Nd at (0.321, 0.500, 0.625), Pu at (0.352, 0.500, 0.152), Pu at (0.489, 0.000, 0.981), Pu at (0.515, 0.000, 0.464), Pu at (0.787, 0.500, 0.142), Pu at (0.830, 0.500, 0.647) and Pu at (0.969, 0.000, 0.489).

The calculation puts the distance to the lowest polymorph of the same formula at 6 kJ/mol of formula units. As for the energy of formation from the pure elements: 1.0 eV/f.u. As for the electronic total energy: -93.14 eV for the cell shown.

=====

Entry 10:
DFT (PBE) results for a geometry-optimized Rb3Nd structure.

The space group is I4/mmm (No. 139) and the conventional cell measures 6.149, 6.149 and 13.996 Å, with angles of 90.00, 90.00 and 90.00 degrees. The distinct sites, in fractional coordinates, are Rb at (0.000, 0.000, 0.000), Rb at (0.000, 0.500, 0.250) and Nd at (0.000, 0.000, 0.500).

The calculation puts the distance to the lowest polymorph of the same formula at 0 kJ/mol of formula units. As for the energy of formation from the pure elements: 2.4 eV/f.u. As for the electronic total energy: -10.61 eV for the cell shown.

=====

Entry 11:
DFT (PBE) results for a geometry-optimized Rb3Nd structure.

The space group is Fm-3m (No. 225) and the conventional cell measures 10.334, 10.334 and 10.334 Å, with angles of 90.00, 90.00 and 90.00 degrees. The distinct sites, in fractional coordinates, are Rb at (0.000, 0.000, 0.000), Rb at (0.250, 0.250, 0.250) and Nd at (0.000, 0.000, 0.500).

The calculation puts the distance to the lowest polymorph of the same formula at 5 kJ/mol of formula units. As for the energy of formation from the pure elements: 2.5 eV/f.u. As for the electronic total energy: -21.04 eV for the cell shown.

=====

Entry 12:
DFT (PBE) results for a geometry-optimized RbNdS2 structure.

The space group is R-3m (No. 166, hexagonal axes) and the conventional cell measures 4.2281, 4.2281 and 23.1399 Å, with angles of 90.00, 90.00 and 120.00 degrees. The distinct sites, in fractional coordinates, are Rb at (0.0000, 0.0000, 0.0000), Nd at (0.0000, 0.0000, 0.5000) and S at (0.0000, 0.0000, 0.2324).

As for the energy of formation from the pure elements: -8.3 eV/f.u. As for the electronic total energy: -63.86 eV for the cell shown.